(1)
DFT (meta-GGA r2SCAN) results for crystalline OsSe2Br12 at its relaxed geometry.

SG ... C2/m
Formation enthalpy at 0 K ... -0.1954 eV per atom
ρ ... 4.3 g/cm3

abc: 9.0950 9.0928 6.6788
angles: 72.92 72.92 77.60
Last column: nearest neighbours and their distance in Å.
Atoms (fractional coordinates):
Br1 0.7431 0.0492 0.2533  1 Os 2.49
Br2 0.3498 0.3498 0.3475  1 Se 2.38
Br3 0.0492 0.7430 0.2533  1 Os 2.49
Br4 0.2128 0.5294 0.7992  1 Se 2.37
Br5 0.5294 0.2128 0.7992  1 Se 2.37
Br6 0.1254 0.1254 0.1785  1 Os 2.49
Br7 0.4706 0.7872 0.2008  1 Se 2.37
Br8 0.6502 0.6502 0.6525  1 Se 2.38
Br9 0.9508 0.2570 0.7467  1 Os 2.49
Br10 0.7872 0.4706 0.2008  1 Se 2.37
Br11 0.8746 0.8746 0.8215  1 Os 2.49
Br12 0.2569 0.9508 0.7467  1 Os 2.49
Se1 0.2787 0.2787 0.7320  3 Br 2.37-2.38
Se2 0.7213 0.7213 0.2680  3 Br 2.37-2.38
Os1 0.0000 0.0000 0.0000  6 Br 2.49



(2)
DFT (meta-GGA r2SCAN) results for crystalline Zr6CI12 at its relaxed geometry.

SG ... R-3
Formation enthalpy at 0 K ... -1.1156 eV per atom
ρ ... 5.3 g/cm3

abc: 9.2208 9.2225 9.2212
angles: 106.94 106.94 106.94
Last column: nearest neighbours and their distance in Å.
Atoms (fractional coordinates):
I1 0.6923 0.2258 0.0782  2 Zr 2.93-2.96
I2 0.2258 0.0783 0.6923  2 Zr 2.93-2.96
I3 0.6324 0.5589 0.8578  2 Zr 2.89-2.90
I4 0.0783 0.6923 0.2258  2 Zr 2.93-2.96
I5 0.8578 0.6323 0.5587  2 Zr 2.89-2.90
I6 0.5587 0.8579 0.6323  2 Zr 2.89-2.90
I7 0.4413 0.1423 0.3676  2 Zr 2.89-2.90
I8 0.9217 0.3076 0.7742  2 Zr 2.93-2.96
I9 0.3677 0.4412 0.1424  2 Zr 2.89-2.90
I10 0.7741 0.9218 0.3077  2 Zr 2.93-2.96
I11 0.1424 0.3676 0.4413  2 Zr 2.89-2.90
I12 0.3077 0.7741 0.9217  2 Zr 2.93-2.96
Zr1 0.0256 0.2660 0.0863  1 C 2.26
Zr2 0.0862 0.0255 0.2660  1 C 2.26
Zr3 0.2660 0.0862 0.0255  1 C 2.26
Zr4 0.7339 0.9138 0.9744  1 C 2.26
Zr5 0.9138 0.9744 0.7340  1 C 2.26
Zr6 0.9744 0.7340 0.9138  1 C 2.26
C1 0.0000 0.0000 0.0000  6 Zr 2.26



(3)
DFT (meta-GGA r2SCAN) results for crystalline LaMg2Ni at its relaxed geometry.

SG ... Cmcm
Formation enthalpy at 0 K ... -0.2064 eV per atom
ρ ... 4.6 g/cm3

abc: 4.2200 5.4945 8.2961
angles: 90.00 90.00 112.58
Last column: nearest neighbours and their distance in Å.
Atoms (fractional coordinates):
Ni1 0.7221 0.4442 0.7500  6 Mg 2.74-2.82, 3 La 2.85-3.06
Ni2 0.2779 0.5558 0.2500  6 Mg 2.74-2.82, 3 La 2.85-3.06
La1 0.4411 0.8822 0.7500  3 Ni 2.85-3.06
La2 0.5589 0.1178 0.2500  3 Ni 2.85-3.06
Mg1 0.1555 0.3111 0.9448  3 Ni 2.74-2.82, 2 Mg 2.99
Mg2 0.8445 0.6889 0.0552  3 Ni 2.74-2.82, 2 Mg 2.99
Mg3 0.8445 0.6889 0.4448  3 Ni 2.74-2.82, 2 Mg 2.99
Mg4 0.1555 0.3111 0.5552  3 Ni 2.74-2.82, 2 Mg 2.99



(4)
DFT (meta-GGA r2SCAN) results for crystalline Ca2Cu at its relaxed geometry.

SG ... Pnma
Formation enthalpy at 0 K ... -0.0810 eV per atom
ρ ... 2.6 g/cm3

abc: 4.1239 6.0648 14.6552
angles: 90.00 90.00 90.00
Last column: nearest neighbours and their distance in Å.
Atoms (fractional coordinates):
Ca1 0.2500 0.1334 0.4086  3 Cu 3.04-3.06
Ca2 0.7500 0.3666 0.9086  3 Cu 3.04-3.06
Ca3 0.2500 0.3697 0.6654  3 Cu 2.99-3.03
Ca4 0.7500 0.6303 0.3346  3 Cu 2.99-3.03
Ca5 0.2500 0.8697 0.8346  3 Cu 2.99-3.03
Ca6 0.2500 0.6334 0.0914  3 Cu 3.04-3.06
Ca7 0.7500 0.8666 0.5914  3 Cu 3.04-3.06
Ca8 0.7500 0.1303 0.1654  3 Cu 2.99-3.03
Cu1 0.7500 0.8977 0.9854  2 Cu 2.44
Cu2 0.2500 0.1023 0.0146  2 Cu 2.44
Cu3 0.7500 0.3977 0.5146  2 Cu 2.44
Cu4 0.2500 0.6023 0.4854  2 Cu 2.44



(5)
DFT (meta-GGA r2SCAN) results for crystalline Ce2Zn4Ru at its relaxed geometry.

SG ... P4/nmm
Formation enthalpy at 0 K ... -0.4045 eV per atom
ρ ... 8.1 g/cm3

abc: 5.1744 7.1445 7.1445
angles: 90.00 90.00 90.00
Last column: nearest neighbours and their distance in Å.
Atoms (fractional coordinates):
Ce1 0.0000 0.2500 0.7500  2 Ru 2.59
Ce2 0.2171 0.7500 0.7500  12 Zn 3.13-3.23
Ce3 0.7829 0.2500 0.2500  12 Zn 3.13-3.23
Ce4 0.0000 0.7500 0.2500  2 Ru 2.59
Zn1 0.2949 0.4335 0.0665  3 Zn 2.51-2.62
Zn2 0.2949 0.4335 0.4335  3 Zn 2.51-2.62
Zn3 0.7051 0.5665 0.9335  3 Zn 2.51-2.62
Zn4 0.7051 0.5665 0.5665  3 Zn 2.51-2.62
Zn5 0.2949 0.0665 0.0665  3 Zn 2.51-2.62
Zn6 0.7051 0.9335 0.5665  3 Zn 2.51-2.62
Zn7 0.7051 0.9335 0.9335  3 Zn 2.51-2.62
Zn8 0.2949 0.0665 0.4335  3 Zn 2.51-2.62
Ru1 0.4999 0.2500 0.7500  2 Ce 2.59, 8 Zn 2.82
Ru2 0.4999 0.7500 0.2500  2 Ce 2.59, 8 Zn 2.82



(6)
DFT (meta-GGA r2SCAN) results for crystalline PrFe2Ge2 at its relaxed geometry.

SG ... I4/mmm
Formation enthalpy at 0 K ... -0.4451 eV per atom
ρ ... 7.4 g/cm3

abc: 4.0312 4.0312 6.1708
angles: 109.06 109.06 90.00
Last column: nearest neighbours and their distance in Å.
Atoms (fractional coordinates):
Ge1 0.6191 0.6191 0.2381  4 Fe 2.47, 1 Ge 2.61
Ge2 0.3809 0.3809 0.7619  4 Fe 2.47, 1 Ge 2.61
Fe1 0.7500 0.2500 0.5000  4 Ge 2.47
Fe2 0.2500 0.7500 0.5000  4 Ge 2.47
Pr1 0.0000 0.0000 0.0000  8 Ge 3.13, 8 Fe 3.40